(1)
A plane-wave DFT calculation with GGA-PBE was carried out for RbHO after structural relaxation.

Cell: 4.268 4.221 5.992 Å, 90.00 106.58 90.00°
Space group P2_1 (No. 4)
Unique sites:
Rb1 0.162 0.000 0.284
H1 0.439 0.131 0.913
O1 0.342 0.986 0.782

## Properties
Uncorrected energy ... -13.17 eV per formula unit
Energy with MP2020 corrections ... -13.86 eV per formula unit
Piezoelectric modulus e_max ... 0.2 C/m2

***

(2)
A plane-wave DFT calculation with GGA-PBE was carried out for RbHO after structural relaxation.

Cell: 4.241 11.543 4.193 Å, 90.00 90.00 90.00°
Space group Cmc2_1 (No. 36)
Unique sites:
Rb1 0.000 0.142 0.000
H1 0.000 0.457 0.876
O1 0.000 0.390 0.018

## Properties
Uncorrected energy ... -13.17 eV per formula unit
Energy with MP2020 corrections ... -13.86 eV per formula unit
Piezoelectric modulus e_max ... 0.5 C/m2

***

(3)
A plane-wave DFT calculation with GGA-PBE was carried out for RbHO after structural relaxation.

Cell: 4.206 4.273 6.143 Å, 90.00 104.99 90.00°
Space group P2_1/m (No. 11)
Unique sites:
Rb1 0.170 0.250 0.288
H1 0.463 0.250 0.908
O1 0.322 0.250 0.755

## Properties
Uncorrected energy ... -13.15 eV per formula unit
Energy with MP2020 corrections ... -13.84 eV per formula unit

***

(4)
A plane-wave DFT calculation with GGA-PBE was carried out for RbH3S2O8 after structural relaxation.

Cell: 7.514 12.650 8.010 Å, 90.00 92.17 90.00°
Space group P2_1/c (No. 14)
Unique sites:
Rb1 0.215 0.067 0.158
H1 0.119 0.746 0.620
H2 0.331 0.544 0.109
H3 0.487 0.660 0.773
S1 0.238 0.111 0.668
S2 0.266 0.695 0.336
O1 0.098 0.073 0.770
O2 0.099 0.699 0.209
O3 0.192 0.653 0.489
O4 0.207 0.203 0.565
O5 0.296 0.022 0.542
O6 0.333 0.696 0.858
O7 0.398 0.624 0.263
O8 0.404 0.126 0.788

## Properties
Magnetic moment ... 0.000 μB per atom
Uncorrected energy ... -78.13 eV per formula unit
Energy with MP2020 corrections ... -83.63 eV per formula unit

***

(5)
A plane-wave DFT calculation with GGA-PBE was carried out for RbHS2O7 after structural relaxation.

Cell: 7.471 11.186 8.735 Å, 90.00 107.42 90.00°
Space group P2_1/c (No. 14)
Unique sites:
Rb1 0.156 0.201 0.033
H1 0.396 0.548 0.208
S1 0.182 0.557 0.891
S2 0.414 0.596 0.677
O1 0.023 0.625 0.795
O2 0.186 0.069 0.352
O3 0.235 0.586 0.062
O4 0.241 0.594 0.549
O5 0.375 0.619 0.846
O6 0.441 0.180 0.822
O7 0.490 0.034 0.191

## Properties
Magnetic moment ... 0.000 μB per atom
Uncorrected energy ... -63.01 eV per formula unit
Energy with MP2020 corrections ... -67.82 eV per formula unit

***

(6)
A plane-wave DFT calculation with GGA-PBE was carried out for Rb3HS2O8 after structural relaxation.

Cell: 15.524 6.011 10.330 Å, 90.00 102.49 90.00°
Space group C2/c (No. 15)
Unique sites:
Rb1 0.000 0.244 0.250
Rb2 0.190 0.223 0.652
H1 0.000 0.500 0.000
S1 0.115 0.283 0.965
O1 0.014 0.327 0.946
O2 0.125 0.072 0.897
O3 0.152 0.269 0.110
O4 0.153 0.475 0.905

## Properties
Magnetic moment ... 0.016 μB per atom
Uncorrected energy ... -78.26 eV per formula unit
Energy with MP2020 corrections ... -83.76 eV per formula unit

***

(7)
A plane-wave DFT calculation with GGA-PBE was carried out for Rb3HS2O8 after structural relaxation.

Cell: 15.534 5.983 10.340 Å, 90.00 102.11 90.00°
Space group Cc (No. 9)
Unique sites:
Rb1 0.000 0.225 0.000
Rb2 0.118 0.272 0.696
Rb3 0.314 0.257 0.098
H1 0.308 0.035 0.359
S1 0.192 0.223 0.384
S2 0.424 0.216 0.813
O1 0.158 0.027 0.444
O2 0.159 0.233 0.240
O3 0.182 0.434 0.452
O4 0.296 0.188 0.406
O5 0.325 0.170 0.796
O6 0.436 0.429 0.745
O7 0.462 0.231 0.957
O8 0.463 0.025 0.753

## Properties
Magnetic moment ... 0.000 μB per atom
Uncorrected energy ... -78.26 eV per formula unit
Energy with MP2020 corrections ... -83.76 eV per formula unit

***

(8)
A plane-wave DFT calculation with GGA-PBE was carried out for Rb3HS2O8 after structural relaxation.

Cell: 20.398 11.696 8.602 Å, 90.00 112.41 90.00°
Space group C2/m (No. 12)
Unique sites:
Rb1 0.000 0.231 0.000
Rb2 0.097 0.239 0.591
Rb3 0.133 0.500 0.890
Rb4 0.144 0.000 0.929
Rb5 0.235 0.000 0.478
H1 0.145 0.358 0.285
S1 0.043 0.000 0.309
S2 0.060 0.500 0.341
S3 0.208 0.264 0.176
O1 0.002 0.105 0.716
O2 0.015 0.395 0.292
O3 0.078 0.000 0.185
O4 0.098 0.000 0.484
O5 0.104 0.500 0.524
O6 0.111 0.500 0.248
O7 0.149 0.261 0.010
O8 0.170 0.282 0.311
O9 0.245 0.137 0.802
O10 0.245 0.155 0.226

## Properties
Magnetic moment ... 0.000 μB per atom
Uncorrected energy ... -78.11 eV per formula unit
Energy with MP2020 corrections ... -83.60 eV per formula unit

***

(9)
A plane-wave DFT calculation with GGA-PBE was carried out for RbHSO4 after structural relaxation.

Cell: 14.697 4.783 15.133 Å, 90.00 119.34 90.00°
Space group Pc (No. 7)
Unique sites:
Rb1 0.000 0.037 0.000
Rb2 0.223 0.362 0.838
Rb3 0.497 0.180 0.252
Rb4 0.741 0.440 0.071
H1 0.264 0.044 0.550
H2 0.453 0.441 0.444
H3 0.745 0.130 0.281
H4 0.887 0.172 0.713
S1 0.004 0.142 0.257
S2 0.254 0.452 0.607
S3 0.512 0.035 0.509
S4 0.754 0.436 0.838
O1 0.058 0.041 0.846
O2 0.065 0.201 0.207
O3 0.147 0.436 0.589
O4 0.263 0.245 0.529
O5 0.279 0.278 0.076
O6 0.332 0.368 0.709
O7 0.435 0.242 0.419
O8 0.459 0.235 0.973
O9 0.516 0.134 0.602
O10 0.613 0.048 0.511
O11 0.662 0.364 0.849
O12 0.715 0.322 0.254
O13 0.785 0.204 0.794
O14 0.841 0.451 0.431
O15 0.905 0.047 0.672
O16 0.954 0.385 0.274

## Properties
Magnetic moment ... 0.000 μB per atom
Uncorrected energy ... -39.05 eV per formula unit
Energy with MP2020 corrections ... -41.80 eV per formula unit

***

(10)
A plane-wave DFT calculation with GGA-PBE was carried out for RbHSO4 after structural relaxation.

Cell: 14.684 4.685 15.148 Å, 90.00 120.69 90.00°
Space group P2_1/c (No. 14)
Unique sites:
Rb1 0.123 0.141 0.416
Rb2 0.375 0.702 0.336
H1 0.130 0.691 0.612
H2 0.376 0.193 0.138
S1 0.124 0.217 0.173
S2 0.372 0.740 0.578
O1 0.031 0.113 0.177
O2 0.105 0.005 0.622
O3 0.138 0.015 0.097
O4 0.222 0.205 0.273
O5 0.285 0.618 0.483
O6 0.338 0.518 0.117
O7 0.408 0.503 0.666
O8 0.467 0.694 0.073

## Properties
Magnetic moment ... 0.000 μB per atom
Uncorrected energy ... -39.25 eV per formula unit
Energy with MP2020 corrections ... -42.00 eV per formula unit

***

Number 1: ΔH_f (0 K) -1512 meV per atom. Number 2: ΔH_f (0 K) -1513 meV per atom. Number 3: ΔH_f (0 K) -1506 meV per atom. Number 4: ΔH_f (0 K) -1758 meV per atom. Number 5: ΔH_f (0 K) -1867 meV per atom. Number 6: ΔH_f (0 K) -2112 meV per atom. Number 7: ΔH_f (0 K) -2112 meV per atom. Number 8: ΔH_f (0 K) -2101 meV per atom. Number 9: ΔH_f (0 K) -1929 meV per atom. Number 10: ΔH_f (0 K) -1956 meV per atom.